# Rb2PdAuF6 PBE optimized geometry
# - V (Å³/atom) = 17.57
# - calculated total energy (eV/atom) = -3.9412
data_Rb2PdAuF6
_space_group_name_H-M_alt 'F m -3 m'
_space_group_IT_number 225
_space_group_name_Hall '-F 4 2 3'
_cell_length_a 8.891
_cell_length_b 8.891
_cell_length_c 8.891
_cell_angle_alpha 90.00
_cell_angle_beta 90.00
_cell_angle_gamma 90.00
loop_
_atom_site_label
_atom_site_type_symbol
_atom_site_fract_x
_atom_site_fract_y
_atom_site_fract_z
Rb1 Rb 0.250 0.250 0.250
Pd1 Pd 0.000 0.000 0.000
Au1 Au 0.000 0.000 0.500
F1 F 0.000 0.000 0.238